Entry 1:
# MgV4S8 (PBE, relaxed)
# Energy relative to the elements   -0.8397 eV per atom
# E above lowest polymorph   428.5 meV per atom
# Size of the total moment   0.00 μB/f.u.
data_MgV4S8
_chemical_formula_sum 'Mg2 V8 S16'
_symmetry_space_group_name_H-M 'I m m 2'
_symmetry_Int_Tables_number 44
_cell_length_a 7.155
_cell_length_b 7.177
_cell_length_c 10.129
_cell_angle_alpha 90.00
_cell_angle_beta 90.00
_cell_angle_gamma 90.00
loop_
_symmetry_equiv_pos_as_xyz
'x,y,z'
'-x,-y,z'
'-x,y,z'
'x,-y,z'
'x+1/2,y+1/2,z+1/2'
'-x+1/2,-y+1/2,z+1/2'
'-x+1/2,y+1/2,z+1/2'
'x+1/2,-y+1/2,z+1/2'
loop_
_atom_site_label
_atom_site_type_symbol
_atom_site_fract_x
_atom_site_fract_y
_atom_site_fract_z
Mg1 Mg 0.000 0.000 0.000
V1 V 0.000 0.292 0.144
V2 V 0.209 0.500 0.353
S1 S 0.000 0.253 0.872
S2 S 0.000 0.256 0.371
S3 S 0.245 0.500 0.126
S4 S 0.245 0.500 0.626


Entry 2:
# MgV4S8 (PBE, relaxed)
# Energy relative to the elements   -1.2453 eV per atom
# E above lowest polymorph   22.8 meV per atom
# Size of the total moment   1.46 μB/f.u.
data_MgV4S8
_chemical_formula_sum 'Mg3 V12 S24'
_symmetry_space_group_name_H-M 'R -3 m'
_symmetry_Int_Tables_number 166
_symmetry_space_group_name_Hall '-R 3 2"'
_cell_length_a 6.5218
_cell_length_b 6.5218
_cell_length_c 19.2671
_cell_angle_alpha 90.00
_cell_angle_beta 90.00
_cell_angle_gamma 120.00
loop_
_atom_site_label
_atom_site_type_symbol
_atom_site_fract_x
_atom_site_fract_y
_atom_site_fract_z
Mg1 Mg 0.0000 0.0000 0.0000
V1 V 0.0000 0.0000 0.5000
V2 V 0.0000 0.5000 0.5000
S1 S 0.0000 0.0000 0.2411
S2 S 0.0004 0.5002 0.2427


Entry 3:
# MgVS2 (PBE, relaxed)
# Energy relative to the elements   -1.2492 eV per atom
# Size of the total moment   2.99 μB/f.u.
data_MgVS2
_chemical_formula_sum 'Mg3 V3 S6'
_symmetry_space_group_name_H-M 'R -3 m'
_symmetry_Int_Tables_number 166
_symmetry_space_group_name_Hall '-R 3 2"'
_cell_length_a 3.6608
_cell_length_b 3.6608
_cell_length_c 17.7081
_cell_angle_alpha 90.00
_cell_angle_beta 90.00
_cell_angle_gamma 120.00
loop_
_atom_site_label
_atom_site_type_symbol
_atom_site_fract_x
_atom_site_fract_y
_atom_site_fract_z
Mg1 Mg 0.0000 0.0000 0.0000
V1 V 0.0000 0.0000 0.5000
S1 S 0.0000 0.0000 0.2468


Entry 4:
# MgV4S8 (PBE, relaxed)
# Energy relative to the elements   -1.1826 eV per atom
# E above lowest polymorph   85.6 meV per atom
# Size of the total moment   5.99 μB/f.u.
data_MgV4S8
_chemical_formula_sum 'Mg3 V12 S24'
_symmetry_space_group_name_H-M 'R -3 m'
_symmetry_Int_Tables_number 166
_symmetry_space_group_name_Hall '-R 3 2"'
_cell_length_a 6.8834
_cell_length_b 6.8834
_cell_length_c 17.2665
_cell_angle_alpha 90.00
_cell_angle_beta 90.00
_cell_angle_gamma 120.00
loop_
_atom_site_label
_atom_site_type_symbol
_atom_site_fract_x
_atom_site_fract_y
_atom_site_fract_z
Mg1 Mg 0.0000 0.0000 0.0000
V1 V 0.0000 0.0000 0.5000
V2 V 0.0000 0.5000 0.0000
S1 S 0.0000 0.0000 0.2554
S2 S 0.0123 0.5061 0.2506


Entry 5:
# MgVS3 (PBE, relaxed)
# Energy relative to the elements   -1.1710 eV per atom
# Size of the total moment   1.00 μB/f.u.
data_MgVS3
_chemical_formula_sum 'Mg8 V8 S24'
_symmetry_space_group_name_H-M 'C 1 m 1'
_symmetry_Int_Tables_number 8
_cell_length_a 12.429
_cell_length_b 6.673
_cell_length_c 11.994
_cell_angle_alpha 90.00
_cell_angle_beta 119.52
_cell_angle_gamma 90.00
loop_
_symmetry_equiv_pos_as_xyz
'x,y,z'
'x,-y,z'
'x+1/2,y+1/2,z'
'x+1/2,-y+1/2,z'
loop_
_atom_site_label
_atom_site_type_symbol
_atom_site_fract_x
_atom_site_fract_y
_atom_site_fract_z
Mg1 Mg 0.000 0.000 0.000
Mg2 Mg 0.003 0.000 0.504
Mg3 Mg 0.355 0.500 0.676
Mg4 Mg 0.360 0.500 0.182
V1 V 0.370 0.000 0.379
V2 V 0.371 0.000 0.882
V3 V 0.494 0.000 0.694
V4 V 0.498 0.000 0.198
S1 S 0.168 0.500 0.706
S2 S 0.173 0.500 0.214
S3 S 0.198 0.000 0.715
S4 S 0.203 0.000 0.206
S5 S 0.370 0.233 0.532
S6 S 0.374 0.233 0.036
S7 S 0.491 0.234 0.843
S8 S 0.496 0.235 0.348


Entry 6:
# MgVS2 (PBE, relaxed)
# Energy relative to the elements   -0.3305 eV per atom
# Size of the total moment   3.00 μB/f.u.
data_MgVS2
_chemical_formula_sum 'Mg2 V2 S4'
_symmetry_space_group_name_H-M 'C 1 2/m 1'
_symmetry_Int_Tables_number 12
_cell_length_a 6.717
_cell_length_b 5.973
_cell_length_c 6.133
_cell_angle_alpha 90.00
_cell_angle_beta 97.76
_cell_angle_gamma 90.00
loop_
_symmetry_equiv_pos_as_xyz
'x,y,z'
'-x,-y,-z'
'-x,y,-z'
'x,-y,z'
'x+1/2,y+1/2,z'
'-x+1/2,-y+1/2,-z'
'-x+1/2,y+1/2,-z'
'x+1/2,-y+1/2,z'
loop_
_atom_site_label
_atom_site_type_symbol
_atom_site_fract_x
_atom_site_fract_y
_atom_site_fract_z
Mg1 Mg 0.000 0.000 0.000
V1 V 0.000 0.500 0.000
S1 S 0.205 0.500 0.744